Entry 1:
A geometry-optimized MgZn2H12Br6O6 structure, computed with PBE.

The structure in POSCAR format:
```
MgZn2H12Br6O6
1.0
-4.146 5.185 5.302
4.146 -5.185 5.302
4.146 5.185 -5.302
Mg Zn H Br O
1 2 12 6 6
Direct
0.000 0.000 0.000
0.342 0.842 0.500
0.658 0.158 0.500
0.102 0.163 0.412
0.102 0.690 0.939
0.174 0.250 0.923
0.249 0.310 0.412
0.249 0.837 0.939
0.327 0.250 0.077
0.673 0.750 0.923
0.751 0.163 0.061
0.751 0.690 0.588
0.826 0.750 0.077
0.898 0.310 0.061
0.898 0.837 0.588
0.021 0.713 0.309
0.404 0.713 0.691
0.500 0.223 0.723
0.500 0.777 0.277
0.596 0.287 0.309
0.979 0.287 0.691
0.147 0.176 0.323
0.147 0.824 0.971
0.196 0.196 0.000
0.804 0.804 0.000
0.853 0.176 0.029
0.853 0.824 0.677
```

Properties
**Symmetry**: No. 71
**ΔH_f (0 K)**: -1.239 eV/atom
**Total moment**: 0.00 μB per formula unit
**Energy with MP2020 corrections**: -117.79 eV for the cell shown
**Volume**: 16.88 Å³ per atom

***

Entry 2:
A geometry-optimized AcDy3 structure, computed with PBE.

The structure in POSCAR format:
```
AcDy3
1.0
5.165 0.000 0.000
0.000 5.165 0.000
0.000 0.000 5.165
Ac Dy
1 3
Direct
0.000 0.000 0.000
0.000 0.500 0.500
0.500 0.000 0.500
0.500 0.500 0.000
```

Properties
**Symmetry**: No. 221
**ΔH_f (0 K)**: 0.062 eV/atom
**Distance to the lowest polymorph of the same formula**: 0 meV per atom
**Volume**: 34.44 Å³ per atom

***

Entry 3:
A geometry-optimized As2PbS4 structure, computed with PBE.

The structure in POSCAR format:
```
As2PbS4
1.0
9.467 0.000 0.000
0.000 3.767 0.000
0.000 0.000 18.630
As Pb S
8 4 16
Direct
0.000 0.250 0.118
0.000 0.750 0.882
0.163 0.250 0.506
0.337 0.750 0.006
0.500 0.250 0.382
0.500 0.750 0.618
0.663 0.250 0.994
0.837 0.750 0.494
0.157 0.750 0.314
0.343 0.250 0.814
0.657 0.750 0.186
0.843 0.250 0.686
0.009 0.750 0.581
0.127 0.750 0.778
0.152 0.750 0.147
0.195 0.250 0.954
0.305 0.750 0.454
0.348 0.250 0.647
0.373 0.250 0.278
0.491 0.250 0.081
0.509 0.750 0.919
0.627 0.750 0.722
0.652 0.750 0.353
0.695 0.250 0.546
0.805 0.750 0.046
0.848 0.250 0.853
0.873 0.250 0.222
0.991 0.250 0.419
```

Properties
**Symmetry**: No. 62
**ΔH_f (0 K)**: -0.503 eV/atom
**Total moment**: 0.00 μB per formula unit
**Energy with MP2020 corrections**: -132.40 eV for the cell shown
**Volume**: 23.73 Å³ per atom

***

Entry 4:
A geometry-optimized Eu2MgSe4 structure, computed with PBE.

The structure in POSCAR format:
```
Eu2MgSe4
1.0
-4.297 4.297 4.755
4.297 -4.297 4.755
4.297 4.297 -4.755
Eu Mg Se
4 2 8
Direct
0.000 0.625 0.875
0.375 0.250 0.375
0.750 0.125 0.125
0.875 0.000 0.625
0.250 0.750 0.500
0.500 0.500 0.000
0.010 0.886 0.277
0.114 0.391 0.124
0.141 0.364 0.624
0.267 0.990 0.876
0.483 0.859 0.223
0.609 0.733 0.723
0.636 0.260 0.777
0.740 0.517 0.376
```

Properties
**Symmetry**: No. 122
**ΔH_f (0 K)**: -1.659 eV/atom
**Total moment**: 12.42 μB per formula unit
**Energy with MP2020 corrections**: -95.43 eV for the cell shown
**Distance to the lowest polymorph of the same formula**: 19 meV per atom
**Volume**: 25.09 Å³ per atom

***

Entry 5:
A geometry-optimized BaLiMg14 structure, computed with PBE.

The structure in POSCAR format:
```
BaLiMg14
1.0
10.645 0.000 0.000
0.000 3.245 5.797
0.000 -3.245 5.797
Ba Li Mg
1 1 14
Direct
0.000 0.000 0.000
0.000 0.494 0.494
0.000 0.008 0.494
0.000 0.494 0.008
0.246 0.662 0.662
0.264 0.168 0.168
0.265 0.167 0.653
0.265 0.653 0.167
0.500 0.499 0.499
0.500 0.499 0.995
0.500 0.995 0.499
0.500 0.998 0.998
0.735 0.167 0.653
0.735 0.653 0.167
0.736 0.168 0.168
0.754 0.662 0.662
```

Properties
**Symmetry**: No. 38
**ΔH_f (0 K)**: 0.065 eV/atom
**Total moment**: 0.00 μB per formula unit
**Distance to the lowest polymorph of the same formula**: 0 meV per atom
**Volume**: 25.03 Å³ per atom

***

Entry 6:
A geometry-optimized Ag3As structure, computed with PBE.

The structure in POSCAR format:
```
Ag3As
1.0
5.940 0.000 0.000
-2.970 5.144 0.000
0.000 0.000 4.800
Ag As
6 2
Direct
0.167 0.333 0.250
0.167 0.833 0.250
0.333 0.167 0.750
0.667 0.833 0.250
0.833 0.167 0.750
0.833 0.667 0.750
0.333 0.667 0.750
0.667 0.333 0.250
```

Properties
**Symmetry**: No. 194
**ΔH_f (0 K)**: 0.088 eV/atom
**Total moment**: 0.00 μB per formula unit
**Volume**: 18.34 Å³ per atom

***

Entry 7:
A geometry-optimized Er5Bi3 structure, computed with PBE.

The structure in POSCAR format:
```
Er5Bi3
1.0
8.200 0.000 0.000
0.000 9.482 0.000
0.000 0.000 11.929
Er Bi
20 12
Direct
0.022 0.250 0.011
0.147 0.750 0.284
0.186 0.250 0.282
0.192 0.065 0.558
0.192 0.435 0.558
0.308 0.565 0.058
0.308 0.935 0.058
0.314 0.750 0.782
0.353 0.250 0.784
0.478 0.750 0.511
0.522 0.250 0.489
0.647 0.750 0.216
0.686 0.250 0.218
0.692 0.065 0.942
0.692 0.435 0.942
0.808 0.565 0.442
0.808 0.935 0.442
0.814 0.750 0.718
0.853 0.250 0.716
0.978 0.750 0.989
0.065 0.004 0.825
0.065 0.496 0.825
0.096 0.750 0.543
0.404 0.250 0.043
0.435 0.504 0.325
0.435 0.996 0.325
0.565 0.004 0.675
0.565 0.496 0.675
0.596 0.750 0.957
0.904 0.250 0.457
0.935 0.504 0.175
0.935 0.996 0.175
```

Properties
**Symmetry**: No. 62
**ΔH_f (0 K)**: -0.644 eV/atom
**Distance to the lowest polymorph of the same formula**: 0 meV per atom
**Volume**: 28.98 Å³ per atom

***

Entry 8:
A geometry-optimized K2NaH10IO10 structure, computed with PBE.

The structure in POSCAR format:
```
K2NaH10IO10
1.0
6.804 0.000 0.000
-0.402 7.389 0.000
-3.244 -1.742 10.190
K Na H I O
4 2 20 2 20
Direct
0.068 0.310 0.148
0.118 0.345 0.624
0.882 0.655 0.376
0.932 0.690 0.852
0.284 0.815 0.236
0.716 0.185 0.764
0.080 0.103 0.380
0.159 0.143 0.861
0.178 0.356 0.919
0.305 0.015 0.575
0.319 0.120 0.393
0.350 0.621 0.991
0.352 0.022 0.040
0.364 0.650 0.472
0.389 0.484 0.370
0.429 0.510 0.108
0.571 0.490 0.892
0.611 0.516 0.630
0.636 0.350 0.528
0.648 0.978 0.960
0.650 0.379 0.009
0.681 0.880 0.607
0.695 0.985 0.425
0.822 0.644 0.081
0.841 0.857 0.139
0.920 0.897 0.620
0.361 0.818 0.754
0.639 0.182 0.246
0.080 0.256 0.861
0.097 0.737 0.640
0.208 0.038 0.407
0.259 0.950 0.879
0.310 0.593 0.377
0.311 0.581 0.066
0.353 0.072 0.133
0.359 0.049 0.673
0.374 0.609 0.834
0.499 0.281 0.363
0.501 0.719 0.637
0.626 0.391 0.166
0.641 0.951 0.327
0.647 0.928 0.867
0.689 0.419 0.934
0.690 0.407 0.623
0.741 0.050 0.121
0.792 0.962 0.593
0.903 0.263 0.360
0.920 0.744 0.139
```

Properties
**Symmetry**: No. 2
**ΔH_f (0 K)**: -1.378 eV/atom
**Total moment**: 0.00 μB per formula unit
**Energy with MP2020 corrections**: -243.10 eV for the cell shown
**Volume**: 10.67 Å³ per atom

***

Entry 9:
A geometry-optimized TiSO6 structure, computed with PBE.

The structure in POSCAR format:
```
TiSO6
1.0
9.979 0.000 0.000
0.000 5.271 0.000
0.000 0.000 8.820
Ti S O
4 4 24
Direct
0.125 0.250 0.042
0.375 0.750 0.542
0.625 0.250 0.458
0.875 0.750 0.958
0.171 0.250 0.667
0.329 0.750 0.167
0.671 0.250 0.833
0.829 0.750 0.333
0.000 0.000 0.000
0.000 0.500 0.000
0.027 0.250 0.642
0.083 0.250 0.253
0.207 0.250 0.831
0.234 0.021 0.598
0.234 0.479 0.598
0.266 0.521 0.098
0.266 0.979 0.098
0.293 0.750 0.331
0.417 0.750 0.753
0.473 0.750 0.142
0.500 0.000 0.500
0.500 0.500 0.500
0.527 0.250 0.858
0.583 0.250 0.247
0.707 0.250 0.669
0.734 0.021 0.902
0.734 0.479 0.902
0.766 0.521 0.402
0.766 0.979 0.402
0.793 0.750 0.169
0.917 0.750 0.747
0.973 0.750 0.358
```

Properties
**Symmetry**: No. 62
**ΔH_f (0 K)**: -1.967 eV/atom
**Total moment**: 2.00 μB per formula unit
**Energy with MP2020 corrections**: -229.82 eV for the cell shown
**Volume**: 14.50 Å³ per atom

***

Entry 10:
A geometry-optimized MgTl2Sb2O6 structure, computed with PBE.

The structure in POSCAR format:
```
MgTl2Sb2O6
1.0
2.793 1.613 8.060
-2.793 1.613 8.060
0.000 -3.225 8.060
Mg Tl Sb O
1 2 2 6
Direct
0.000 0.000 0.000
0.128 0.128 0.128
0.872 0.872 0.872
0.333 0.333 0.333
0.667 0.667 0.667
0.043 0.712 0.378
0.288 0.622 0.957
0.378 0.043 0.712
0.622 0.957 0.288
0.712 0.378 0.043
0.957 0.288 0.622
```

Properties
**Symmetry**: No. 148
**ΔH_f (0 K)**: -1.660 eV/atom
**Total moment**: 0.00 μB per formula unit
**Energy with MP2020 corrections**: -62.53 eV for the cell shown
**Distance to the lowest polymorph of the same formula**: 0 meV per atom
**Volume**: 19.80 Å³ per atom

***

Entry 11:
A geometry-optimized Rb3Ta2AgSe12 structure, computed with PBE.

The structure in POSCAR format:
```
Rb3Ta2AgSe12
1.0
10.032 0.000 0.000
0.000 14.313 0.000
-8.533 0.000 15.951
Rb Ta Ag Se
12 8 4 48
Direct
0.150 0.085 0.223
0.150 0.415 0.723
0.220 0.585 0.995
0.220 0.915 0.495
0.338 0.106 0.843
0.338 0.394 0.343
0.662 0.606 0.657
0.662 0.894 0.157
0.780 0.085 0.505
0.780 0.415 0.005
0.850 0.585 0.277
0.850 0.915 0.777
0.214 0.721 0.227
0.214 0.779 0.727
0.422 0.222 0.580
0.422 0.278 0.080
0.578 0.722 0.920
0.578 0.778 0.420
0.786 0.221 0.273
0.786 0.279 0.773
0.118 0.173 0.419
0.118 0.327 0.919
0.882 0.673 0.081
0.882 0.827 0.581
0.006 0.651 0.640
0.006 0.849 0.140
0.016 0.127 0.002
0.016 0.373 0.502
0.074 0.713 0.804
0.074 0.787 0.304
0.103 0.566 0.176
0.103 0.934 0.676
0.151 0.231 0.572
0.151 0.269 0.072
0.329 0.724 0.635
0.329 0.776 0.135
0.345 0.667 0.392
0.345 0.833 0.892
0.351 0.616 0.825
0.351 0.884 0.325
0.393 0.163 0.446
0.393 0.337 0.946
0.400 0.076 0.660
0.400 0.424 0.160
0.402 0.099 0.064
0.402 0.401 0.564
0.489 0.684 0.258
0.489 0.816 0.758
0.511 0.184 0.242
0.511 0.316 0.742
0.598 0.599 0.436
0.598 0.901 0.936
0.600 0.576 0.840
0.600 0.924 0.340
0.607 0.663 0.054
0.607 0.837 0.554
0.649 0.116 0.675
0.649 0.384 0.175
0.655 0.167 0.108
0.655 0.333 0.608
0.671 0.224 0.865
0.671 0.276 0.365
0.849 0.731 0.928
0.849 0.769 0.428
0.897 0.066 0.324
0.897 0.434 0.824
0.926 0.213 0.696
0.926 0.287 0.196
0.984 0.627 0.498
0.984 0.873 0.998
0.994 0.151 0.860
0.994 0.349 0.360
```

Properties
**Symmetry**: No. 14
**ΔH_f (0 K)**: -1.021 eV/atom
**Total moment**: 0.00 μB per formula unit
**Energy with MP2020 corrections**: -359.25 eV for the cell shown
**Volume**: 31.81 Å³ per atom

***

Entry 12:
A geometry-optimized Ba3MgSi2O8 structure, computed with PBE.

The structure in POSCAR format:
```
Ba3MgSi2O8
1.0
9.850 0.000 0.000
-4.925 8.530 0.000
0.000 0.000 7.373
Ba Mg Si O
9 3 6 24
Direct
0.000 0.000 0.000
0.002 0.335 0.322
0.332 0.998 0.322
0.333 0.667 0.996
0.335 0.332 0.678
0.665 0.668 0.322
0.667 0.333 0.004
0.668 0.002 0.678
0.998 0.665 0.678
0.000 0.000 0.500
0.333 0.667 0.489
0.667 0.333 0.511
0.008 0.337 0.759
0.329 0.992 0.759
0.337 0.329 0.241
0.663 0.671 0.759
0.671 0.008 0.241
0.992 0.663 0.241
0.000 0.175 0.677
0.000 0.825 0.323
0.043 0.355 0.975
0.156 0.666 0.304
0.157 0.490 0.655
0.175 0.000 0.677
0.175 0.175 0.323
0.312 0.957 0.975
0.333 0.843 0.655
0.334 0.489 0.304
0.355 0.312 0.025
0.489 0.156 0.696
0.490 0.333 0.345
0.510 0.667 0.655
0.511 0.844 0.304
0.645 0.688 0.975
0.666 0.511 0.696
0.667 0.157 0.345
0.688 0.043 0.025
0.825 0.000 0.323
0.825 0.825 0.677
0.843 0.510 0.345
0.844 0.334 0.696
0.957 0.645 0.025
```

Properties
**Symmetry**: No. 147
**ΔH_f (0 K)**: -3.324 eV/atom
**Total moment**: 0.00 μB per formula unit
**Energy with MP2020 corrections**: -312.96 eV for the cell shown
**Volume**: 14.75 Å³ per atom

***

Entry 13:
A geometry-optimized MnVAs structure, computed with PBE.

The structure in POSCAR format:
```
MnVAs
1.0
3.667 0.000 0.000
0.000 3.667 0.000
0.000 0.000 6.477
Mn V As
2 2 2
Direct
0.250 0.250 0.161
0.750 0.750 0.839
0.250 0.750 0.500
0.750 0.250 0.500
0.250 0.250 0.778
0.750 0.750 0.222
```

Properties
**Symmetry**: No. 129
**ΔH_f (0 K)**: -0.250 eV/atom
**Total moment**: 3.13 μB per formula unit
**Volume**: 14.51 Å³ per atom